Material: MgMn6O7F5
Method: DFT, PBE+U
State: optimized geometry

Output
calculated formation energy = -44.05 eV per formula unit
polymorph energy (0 for the lowest one) = 87.1 meV per atom

Cell: 4.984 5.063 9.201 Å, 92.34 87.89 98.43°
Sites, in units of the cell vectors:
O (0.325, 0.323, 0.341)
O (0.860, 0.202, 0.188)
O (0.671, 0.712, 0.675)
O (0.686, 0.690, 0.002)
O (0.300, 0.294, 0.672)
O (0.314, 0.274, 0.994)
O (0.149, 0.812, 0.485)
F (0.824, 0.261, 0.487)
F (0.164, 0.802, 0.843)
F (0.167, 0.755, 0.182)
F (0.694, 0.713, 0.334)
F (0.822, 0.179, 0.826)
Mn (0.491, 0.497, 0.837)
Mn (0.528, 0.446, 0.150)
Mn (0.002, 0.984, 0.666)
Mn (0.468, 0.519, 0.522)
Mn (0.033, 0.022, 0.335)
Mn (0.984, 0.003, 0.004)
Mg (0.005, 0.511, 0.336)

=====

Material: MgMn4O4F6
Method: DFT, PBE+U
State: optimized geometry

Output
calculated formation energy = -38.47 eV per formula unit
polymorph energy (0 for the lowest one) = 24.9 meV per atom

Cell: 5.033 6.143 7.912 Å, 106.93 69.23 69.20°
Sites, in units of the cell vectors:
Mn (0.182, 0.495, 0.621)
Mn (0.804, 0.479, 0.358)
Mn (0.657, 0.013, 0.106)
Mn (0.344, 0.973, 0.862)
F (0.890, 0.181, 0.946)
F (0.449, 0.186, 0.685)
F (0.012, 0.683, 0.453)
F (0.023, 0.248, 0.501)
F (0.105, 0.825, 0.074)
F (0.643, 0.785, 0.290)
O (0.750, 0.753, 0.857)
O (0.594, 0.263, 0.354)
O (0.251, 0.228, 0.117)
O (0.412, 0.692, 0.632)
Mg (0.867, 0.986, 0.410)

=====

Material: MgMn2O2F2
Method: DFT, PBE+U
State: optimized geometry

Output
calculated formation energy = -18.14 eV per formula unit
polymorph energy (0 for the lowest one) = 37.9 meV per atom

Cell: 4.033 6.730 3.247 Å, 90.00 90.00 90.00°
Sites, in units of the cell vectors:
Mn (0.250, 0.143, 0.750)
Mn (0.750, 0.881, 0.250)
O (0.250, 0.812, 0.250)
O (0.750, 0.086, 0.750)
Mg (0.250, 0.615, 0.750)
F (0.250, 0.389, 0.250)
F (0.750, 0.611, 0.750)

=====

Material: MgMn4O4F4
Method: DFT, PBE+U
State: optimized geometry

Output
calculated formation energy = -32.16 eV per formula unit
polymorph energy (0 for the lowest one) = 53.0 meV per atom

Cell: 5.335 5.883 5.526 Å, 100.83 102.97 79.51°
Sites, in units of the cell vectors:
O (0.093, 0.130, 0.949)
O (0.649, 0.356, 0.101)
O (0.738, 0.664, 0.569)
O (0.242, 0.938, 0.389)
Mn (0.476, 0.647, 0.275)
Mn (0.940, 0.127, 0.222)
Mn (0.059, 0.837, 0.654)
Mn (0.835, 0.442, 0.829)
F (0.247, 0.431, 0.399)
F (0.655, 0.865, 0.088)
F (0.192, 0.621, 0.948)
F (0.754, 0.150, 0.504)
Mg (0.425, 0.150, 0.210)

=====

Material: MgMn6O7F5
Method: DFT, PBE+U
State: optimized geometry

Output
calculated formation energy = -45.70 eV per formula unit
polymorph energy (0 for the lowest one) = 0.0 meV per atom

Cell: 8.465 5.847 6.011 Å, 65.66 63.15 64.80°
Sites, in units of the cell vectors:
Mn (0.830, 0.666, 0.662)
Mn (0.479, 0.991, 0.996)
Mn (0.336, 0.653, 0.655)
Mn (0.030, 0.029, 0.993)
Mn (0.634, 0.304, 0.337)
Mn (0.202, 0.350, 0.344)
F (0.729, 0.055, 0.104)
F (0.652, 0.581, 0.522)
F (0.024, 0.762, 0.814)
F (0.919, 0.266, 0.237)
F (0.313, 0.869, 0.869)
O (0.004, 0.698, 0.300)
O (0.665, 0.630, 0.035)
O (0.654, 0.024, 0.643)
O (0.376, 0.440, 0.451)
O (0.332, 0.969, 0.361)
O (0.016, 0.327, 0.687)
O (0.337, 0.357, 0.970)
Mg (0.838, 0.661, 0.165)

=====

Material: MgMn6O7F5
Method: DFT, PBE+U
State: optimized geometry

Output
calculated formation energy = -44.22 eV per formula unit
polymorph energy (0 for the lowest one) = 78.1 meV per atom

Cell: 5.050 7.893 5.698 Å, 95.97 91.45 87.69°
Sites, in units of the cell vectors:
F (0.327, 0.876, 0.168)
F (0.818, 0.428, 0.638)
F (0.191, 0.214, 0.012)
F (0.685, 0.119, 0.787)
F (0.153, 0.587, 0.379)
O (0.672, 0.761, 0.466)
O (0.846, 0.069, 0.269)
O (0.692, 0.419, 0.127)
O (0.850, 0.779, 0.991)
O (0.322, 0.562, 0.887)
O (0.309, 0.237, 0.527)
O (0.165, 0.902, 0.661)
Mn (0.483, 0.003, 0.495)
Mn (0.534, 0.644, 0.165)
Mn (0.985, 0.309, 0.334)
Mn (0.008, 0.656, 0.719)
Mn (0.993, 0.002, 0.952)
Mn (0.486, 0.341, 0.827)
Mg (0.996, 0.834, 0.335)

=====

Material: MgMn6O7F5
Method: DFT, PBE+U
State: optimized geometry

Output
calculated formation energy = -43.83 eV per formula unit
polymorph energy (0 for the lowest one) = 98.6 meV per atom

Cell: 4.906 5.030 9.193 Å, 89.95 89.91 96.74°
Sites, in units of the cell vectors:
Mn (0.526, 0.463, 0.166)
Mn (0.026, 0.023, 0.338)
Mn (0.999, 0.988, 0.021)
Mn (0.499, 0.493, 0.837)
Mn (0.994, 0.001, 0.651)
Mn (0.462, 0.517, 0.512)
O (0.154, 0.824, 0.504)
O (0.652, 0.735, 0.987)
O (0.330, 0.306, 0.345)
O (0.639, 0.741, 0.682)
O (0.353, 0.241, 0.985)
O (0.340, 0.256, 0.684)
O (0.861, 0.184, 0.170)
Mg (0.496, 0.991, 0.835)
F (0.185, 0.767, 0.174)
F (0.819, 0.244, 0.506)
F (0.689, 0.729, 0.341)
F (0.847, 0.210, 0.821)
F (0.142, 0.775, 0.848)

=====

Material: MgMn12O17F7
Method: DFT, PBE+U
State: optimized geometry

Output
calculated formation energy = -77.61 eV per formula unit
polymorph energy (0 for the lowest one) = 32.4 meV per atom

Cell: 4.629 5.752 15.443 Å, 85.84 89.30 89.81°
Sites, in units of the cell vectors:
O (0.214, 0.187, 0.983)
O (0.723, 0.446, 0.034)
O (0.739, 0.627, 0.199)
O (0.729, 0.571, 0.526)
O (0.701, 0.254, 0.694)
O (0.181, 0.942, 0.792)
O (0.741, 0.372, 0.360)
O (0.243, 0.395, 0.815)
O (0.287, 0.429, 0.154)
O (0.290, 0.596, 0.315)
O (0.245, 0.851, 0.461)
O (0.672, 0.657, 0.851)
O (0.292, 0.365, 0.475)
O (0.256, 0.042, 0.619)
O (0.244, 0.116, 0.302)
O (0.264, 0.496, 0.643)
O (0.238, 0.911, 0.144)
F (0.761, 0.781, 0.681)
F (0.265, 0.677, 0.994)
F (0.777, 0.088, 0.517)
F (0.718, 0.147, 0.877)
F (0.749, 0.918, 0.038)
F (0.775, 0.854, 0.357)
F (0.765, 0.148, 0.197)
Mn (0.041, 0.779, 0.570)
Mn (0.519, 0.551, 0.746)
Mn (0.130, 0.212, 0.719)
Mn (0.511, 0.609, 0.419)
Mn (0.037, 0.841, 0.248)
Mn (0.503, 0.371, 0.258)
Mn (0.511, 0.299, 0.576)
Mn (0.035, 0.915, 0.921)
Mn (0.478, 0.411, 0.929)
Mn (0.014, 0.213, 0.089)
Mn (0.037, 0.142, 0.408)
Mn (0.512, 0.673, 0.100)
Mg (0.623, 0.974, 0.781)

=====

Material: MgMn6O7F5
Method: DFT, PBE+U
State: optimized geometry

Output
calculated formation energy = -44.18 eV per formula unit
polymorph energy (0 for the lowest one) = 79.8 meV per atom

Cell: 5.206 8.185 5.926 Å, 99.99 99.39 79.43°
Sites, in units of the cell vectors:
O (0.823, 0.483, 0.586)
O (0.285, 0.233, 0.552)
O (0.680, 0.787, 0.478)
O (0.304, 0.908, 0.205)
O (0.185, 0.852, 0.739)
O (0.686, 0.418, 0.123)
O (0.712, 0.091, 0.777)
F (0.185, 0.235, 0.068)
F (0.252, 0.581, 0.394)
F (0.310, 0.547, 0.847)
F (0.755, 0.738, 0.942)
F (0.818, 0.097, 0.252)
Mn (0.478, 0.294, 0.867)
Mn (0.515, 0.667, 0.172)
Mn (0.973, 0.329, 0.344)
Mn (0.023, 0.995, 0.986)
Mn (0.506, 0.019, 0.478)
Mn (0.991, 0.674, 0.642)
Mg (0.503, 0.667, 0.665)

=====

Material: MgMn8O8F8
Method: DFT, PBE+U
State: optimized geometry

Output
calculated formation energy = -59.10 eV per formula unit
polymorph energy (0 for the lowest one) = 36.2 meV per atom

Cell: 4.825 4.967 12.488 Å, 87.11 89.75 88.38°
Sites, in units of the cell vectors:
O (0.343, 0.313, 0.759)
O (0.848, 0.197, 0.125)
O (0.647, 0.713, 0.988)
O (0.169, 0.811, 0.872)
O (0.652, 0.672, 0.495)
O (0.191, 0.800, 0.368)
O (0.162, 0.770, 0.615)
O (0.347, 0.308, 0.251)
F (0.226, 0.761, 0.128)
F (0.734, 0.721, 0.246)
F (0.788, 0.218, 0.619)
F (0.277, 0.268, 0.499)
F (0.798, 0.195, 0.380)
F (0.659, 0.790, 0.757)
F (0.338, 0.235, 0.992)
F (0.815, 0.253, 0.876)
Mn (0.979, 0.934, 0.491)
Mn (0.045, 0.015, 0.732)
Mn (0.548, 0.475, 0.129)
Mn (0.471, 0.503, 0.618)
Mn (0.048, 0.030, 0.249)
Mn (0.479, 0.511, 0.373)
Mn (0.459, 0.529, 0.875)
Mn (0.984, 0.954, 0.010)
Mg (0.507, 0.021, 0.872)

=====

Material: MgMn5O9F
Method: DFT, PBE+U
State: optimized geometry

Output
calculated formation energy = -33.25 eV per formula unit
polymorph energy (0 for the lowest one) = 23.8 meV per atom

Cell: 5.344 5.215 7.921 Å, 108.74 75.50 79.20°
Sites, in units of the cell vectors:
O (0.786, 0.984, 0.263)
O (0.178, 0.792, 0.344)
O (0.811, 0.186, 0.652)
O (0.182, 0.404, 0.546)
O (0.793, 0.381, 0.028)
O (0.198, 0.590, 0.962)
O (0.804, 0.846, 0.846)
O (0.781, 0.559, 0.428)
O (0.190, 0.210, 0.152)
F (0.296, 0.016, 0.764)
Mn (0.966, 0.604, 0.208)
Mn (0.000, 0.999, 0.005)
Mn (0.004, 0.788, 0.588)
Mn (0.988, 0.194, 0.398)
Mn (0.002, 0.408, 0.795)
Mg (0.506, 0.226, 0.916)

=====

Material: MgMn6O7F5
Method: DFT, PBE+U
State: optimized geometry

Output
calculated formation energy = -44.24 eV per formula unit
polymorph energy (0 for the lowest one) = 76.7 meV per atom

Cell: 5.221 5.165 9.111 Å, 89.37 91.56 102.66°
Sites, in units of the cell vectors:
Mn (0.005, 0.030, 0.329)
Mn (0.985, 0.992, 0.987)
Mn (0.503, 0.497, 0.820)
Mn (0.551, 0.378, 0.165)
Mn (0.976, 0.022, 0.646)
Mn (0.503, 0.487, 0.501)
O (0.679, 0.709, 0.662)
O (0.289, 0.320, 0.661)
O (0.305, 0.318, 0.334)
O (0.121, 0.874, 0.497)
O (0.860, 0.186, 0.144)
O (0.295, 0.292, 0.980)
O (0.724, 0.653, 0.993)
F (0.694, 0.707, 0.329)
F (0.177, 0.779, 0.864)
F (0.822, 0.188, 0.815)
F (0.180, 0.806, 0.164)
F (0.779, 0.223, 0.483)
Mg (0.053, 0.513, 0.032)

=====

Material: MgMn6O11F
Method: DFT, PBE+U
State: optimized geometry

Output
calculated formation energy = -38.16 eV per formula unit
polymorph energy (0 for the lowest one) = 4.3 meV per atom

Cell: 10.197 7.715 2.909 Å, 90.00 90.00 110.04°
Sites, in units of the cell vectors:
O (0.990, 0.679, 0.012)
O (0.348, 0.994, 0.012)
O (0.209, 0.618, 0.512)
O (0.468, 0.732, 0.512)
O (0.125, 0.053, 0.512)
O (0.668, 0.651, 0.012)
O (0.536, 0.281, 0.512)
O (0.796, 0.401, 0.512)
O (0.307, 0.307, 0.012)
O (0.025, 0.362, 0.012)
O (0.865, 0.921, 0.512)
Mn (0.665, 0.372, 0.012)
Mn (0.993, 0.945, 0.012)
Mn (0.667, 0.808, 0.512)
Mn (0.995, 0.524, 0.512)
Mn (0.339, 0.149, 0.512)
Mn (0.342, 0.722, 0.012)
Mg (0.166, 0.335, 0.512)
F (0.665, 0.981, 0.012)

=====

Material: MgMn6O5F7
Method: DFT, PBE+U
State: optimized geometry

Output
calculated formation energy = -48.07 eV per formula unit
polymorph energy (0 for the lowest one) = 26.2 meV per atom

Cell: 7.426 5.885 6.061 Å, 77.49 69.68 73.78°
Sites, in units of the cell vectors:
O (0.637, 0.577, 0.500)
O (0.024, 0.777, 0.822)
O (0.316, 0.959, 0.367)
O (0.721, 0.040, 0.152)
O (0.942, 0.287, 0.199)
Mn (0.493, 0.017, 0.033)
Mn (0.996, 0.055, 0.974)
Mn (0.664, 0.284, 0.370)
Mn (0.829, 0.679, 0.661)
Mn (0.165, 0.297, 0.334)
Mn (0.331, 0.700, 0.636)
F (0.346, 0.384, 0.970)
F (0.028, 0.680, 0.314)
F (0.370, 0.387, 0.454)
F (0.291, 0.958, 0.885)
F (0.646, 0.635, 0.017)
F (0.668, 0.034, 0.673)
F (0.980, 0.319, 0.688)
Mg (0.839, 0.662, 0.160)

=====

Material: MgMn6O7F5
Method: DFT, PBE+U
State: optimized geometry

Output
calculated formation energy = -44.89 eV per formula unit
polymorph energy (0 for the lowest one) = 42.9 meV per atom

Cell: 5.138 7.795 5.984 Å, 99.23 100.75 83.36°
Sites, in units of the cell vectors:
Mn (0.538, 0.013, 0.473)
Mn (0.509, 0.346, 0.818)
Mn (0.001, 0.005, 0.009)
Mn (0.985, 0.322, 0.332)
Mn (0.477, 0.647, 0.192)
Mn (0.984, 0.659, 0.675)
F (0.169, 0.546, 0.385)
F (0.795, 0.430, 0.619)
F (0.771, 0.784, 0.949)
F (0.247, 0.208, 0.028)
F (0.192, 0.902, 0.745)
Mg (0.501, 0.993, 0.977)
O (0.305, 0.229, 0.527)
O (0.810, 0.099, 0.251)
O (0.706, 0.434, 0.123)
O (0.686, 0.771, 0.468)
O (0.700, 0.102, 0.791)
O (0.292, 0.561, 0.886)
O (0.319, 0.898, 0.192)

=====

Material: MgMn6O7F5
Method: DFT, PBE+U
State: optimized geometry

Output
calculated formation energy = -45.43 eV per formula unit
polymorph energy (0 for the lowest one) = 14.1 meV per atom

Cell: 5.160 7.679 5.773 Å, 96.53 98.49 83.73°
Sites, in units of the cell vectors:
F (0.182, 0.592, 0.357)
F (0.851, 0.086, 0.300)
F (0.826, 0.742, 0.992)
F (0.333, 0.591, 0.863)
F (0.134, 0.253, 0.032)
Mn (0.990, 0.679, 0.660)
Mn (0.602, 0.359, 0.770)
Mn (0.988, 0.984, 0.000)
Mn (0.007, 0.352, 0.339)
Mn (0.431, 0.985, 0.555)
Mn (0.505, 0.674, 0.189)
O (0.641, 0.089, 0.847)
O (0.665, 0.422, 0.154)
O (0.649, 0.762, 0.501)
O (0.891, 0.444, 0.625)
O (0.352, 0.235, 0.484)
O (0.125, 0.905, 0.717)
O (0.336, 0.924, 0.202)
Mg (0.495, 0.173, 0.162)